[1]
{"formula": "CaTiF5", "functional": "GGA-PBE", "state": "relaxed", "cell": [[5.623, 0.000, 0.000], [0.000, 10.312, 0.000], [-2.644, 0.000, 7.320]], "species": ["Ca", "Ca", "Ca", "Ca", "Ti", "Ti", "Ti", "Ti", "F", "F", "F", "F", "F", "F", "F", "F", "F", "F", "F", "F", "F", "F", "F", "F", "F", "F", "F", "F"], "frac_coords": [[0.029, 0.019, 0.255], [0.029, 0.481, 0.755], [0.971, 0.519, 0.245], [0.971, 0.981, 0.745], [0.394, 0.246, 0.600], [0.394, 0.254, 0.100], [0.606, 0.746, 0.900], [0.606, 0.754, 0.400], [0.109, 0.116, 0.556], [0.109, 0.384, 0.056], [0.141, 0.111, 0.004], [0.141, 0.389, 0.504], [0.325, 0.636, 0.359], [0.325, 0.864, 0.859], [0.348, 0.203, 0.337], [0.348, 0.297, 0.837], [0.377, 0.604, 0.810], [0.377, 0.896, 0.310], [0.623, 0.104, 0.690], [0.623, 0.396, 0.190], [0.652, 0.703, 0.163], [0.652, 0.797, 0.663], [0.675, 0.136, 0.141], [0.675, 0.364, 0.641], [0.859, 0.611, 0.496], [0.859, 0.889, 0.996], [0.891, 0.616, 0.944], [0.891, 0.884, 0.444]], "spacegroup": "P2_1/c", "formation_enthalpy_0k_mev_per_atom": -3880, "e_above_lowest_polymorph_mev_per_atom": 14}

[2]
{"formula": "CdHg2SO6", "functional": "GGA-PBE", "state": "relaxed", "cell": [[6.885, 0.000, 0.000], [3.282, 6.605, 0.000], [2.973, 0.992, 6.897]], "species": ["Cd", "Cd", "Hg", "Hg", "Hg", "Hg", "S", "S", "O", "O", "O", "O", "O", "O", "O", "O", "O", "O", "O", "O"], "frac_coords": [[0.169, 0.370, 0.276], [0.831, 0.630, 0.724], [0.159, 0.864, 0.282], [0.343, 0.140, 0.717], [0.657, 0.860, 0.283], [0.841, 0.136, 0.718], [0.292, 0.636, 0.805], [0.708, 0.364, 0.195], [0.049, 0.302, 0.636], [0.159, 0.675, 0.673], [0.190, 0.809, 0.915], [0.296, 0.439, 0.938], [0.351, 0.031, 0.233], [0.469, 0.389, 0.322], [0.531, 0.611, 0.678], [0.649, 0.969, 0.767], [0.704, 0.561, 0.062], [0.810, 0.191, 0.085], [0.841, 0.325, 0.327], [0.951, 0.698, 0.364]], "spacegroup": "P-1", "formation_enthalpy_0k_mev_per_atom": -1386}